Entry 1:
{
  "formula": "Li4Mn3Cu3W2O16",
  "functional": "PBE with a Hubbard U",
  "state": "relaxed",
  "cell": [[-2.139, -2.116, -5.150], [3.674, -2.247, -4.127], [-0.800, -9.289, 3.350]],
  "species": ["Li", "Li", "Li", "Li", "Mn", "Mn", "Mn", "Cu", "Cu", "Cu", "W", "W", "O", "O", "O", "O", "O", "O", "O", "O", "O", "O", "O", "O", "O", "O", "O", "O"],
  "fractional_positions": [[0.329, 0.329, 0.086], [0.003, 0.003, 0.013], [0.001, 0.001, 0.520], [0.654, 0.654, 0.592], [0.172, 0.172, 0.783], [0.833, 0.338, 0.287], [0.338, 0.833, 0.287], [0.665, 0.169, 0.790], [0.169, 0.665, 0.790], [0.832, 0.832, 0.287], [0.329, 0.329, 0.516], [0.667, 0.667, 0.012], [0.663, 0.178, 0.420], [0.469, 0.469, 0.647], [0.326, 0.326, 0.876], [0.008, 0.008, 0.707], [0.005, 0.005, 0.203], [0.178, 0.663, 0.420], [0.452, 0.024, 0.648], [0.024, 0.452, 0.648], [0.840, 0.840, 0.921], [0.180, 0.180, 0.412], [0.959, 0.503, 0.146], [0.503, 0.959, 0.146], [0.661, 0.661, 0.380], [0.859, 0.354, 0.909], [0.512, 0.512, 0.134], [0.354, 0.859, 0.909]],
  "total_energy_ev_per_atom": -6.4321,
  "energy_mp2020_ev_per_cell": -204.97,
  "formation_energy_mev_per_atom": -1874
}

Entry 2:
{
  "formula": "Rb2CaNd2W4O16",
  "functional": "PBE with a Hubbard U",
  "state": "relaxed",
  "cell": [[6.184, -0.031, 2.783], [-2.642, 8.500, 4.581], [-0.896, 0.879, 7.661]],
  "species": ["Rb", "Rb", "Ca", "Nd", "Nd", "W", "W", "W", "W", "O", "O", "O", "O", "O", "O", "O", "O", "O", "O", "O", "O", "O", "O", "O", "O"],
  "fractional_positions": [[0.804, 0.151, 0.701], [0.213, 0.878, 0.284], [0.087, 0.501, 0.853], [0.257, 0.861, 0.805], [0.732, 0.117, 0.231], [0.681, 0.682, 0.827], [0.682, 0.682, 0.325], [0.320, 0.312, 0.195], [0.330, 0.309, 0.688], [0.631, 0.417, 0.496], [0.335, 0.083, 0.814], [0.026, 0.273, 0.859], [0.364, 0.086, 0.400], [0.743, 0.667, 0.581], [0.378, 0.284, 0.944], [0.641, 0.905, 0.632], [0.360, 0.572, 0.533], [0.027, 0.263, 0.243], [0.658, 0.912, 0.206], [0.355, 0.583, 0.942], [0.977, 0.735, 0.157], [0.264, 0.334, 0.447], [0.619, 0.702, 0.066], [0.984, 0.741, 0.755], [0.649, 0.424, 0.050]],
  "total_energy_ev_per_atom": -7.2425,
  "energy_mp2020_ev_per_cell": -209.81,
  "formation_energy_mev_per_atom": -2612
}

Entry 3:
{
  "formula": "MgFe2P2O8",
  "functional": "PBE with a Hubbard U",
  "state": "relaxed",
  "cell": [[5.187, 0.322, 0.551], [1.571, 4.736, 0.359], [2.852, 0.354, 6.733]],
  "species": ["Mg", "Fe", "Fe", "P", "P", "O", "O", "O", "O", "O", "O", "O", "O"],
  "fractional_positions": [[0.389, 0.547, 0.068], [0.047, 0.778, 0.706], [0.927, 0.197, 0.321], [0.357, 0.141, 0.792], [0.639, 0.863, 0.220], [0.166, 0.351, 0.682], [0.302, 0.869, 0.379], [0.303, 0.841, 0.840], [0.270, 0.257, 0.001], [0.699, 0.743, 0.022], [0.657, 0.177, 0.186], [0.707, 0.106, 0.644], [0.886, 0.660, 0.296]],
  "total_energy_ev_per_atom": -7.0302,
  "energy_mp2020_ev_per_cell": -101.40,
  "formation_energy_mev_per_atom": -2496
}

Entry 4:
{
  "formula": "Hg2W2O7",
  "functional": "PBE with a Hubbard U",
  "state": "relaxed",
  "cell": [[-2.627, -2.334, -3.987], [7.850, -2.634, -2.156], [-2.170, -4.675, 7.493]],
  "species": ["Hg", "Hg", "Hg", "Hg", "W", "W", "W", "W", "O", "O", "O", "O", "O", "O", "O", "O", "O", "O", "O", "O", "O", "O"],
  "fractional_positions": [[0.753, 0.190, 0.815], [0.286, 0.989, 0.713], [0.714, 0.011, 0.287], [0.247, 0.810, 0.185], [0.780, 0.681, 0.792], [0.180, 0.453, 0.656], [0.820, 0.547, 0.344], [0.220, 0.319, 0.208], [0.170, 0.256, 0.992], [0.083, 0.554, 0.839], [0.536, 0.437, 0.740], [0.013, 0.240, 0.609], [0.428, 0.702, 0.707], [0.953, 0.871, 0.776], [0.846, 0.557, 0.568], [0.154, 0.443, 0.432], [0.047, 0.129, 0.224], [0.572, 0.298, 0.293], [0.987, 0.760, 0.391], [0.464, 0.563, 0.260], [0.917, 0.446, 0.161], [0.830, 0.744, 0.008]],
  "total_energy_ev_per_atom": -5.9921,
  "energy_mp2020_ev_per_cell": -159.20,
  "formation_energy_mev_per_atom": -1676
}

Entry 5:
{
  "formula": "Ba9Ca3La4Fe8O30",
  "functional": "PBE with a Hubbard U",
  "state": "relaxed",
  "cell": [[-4.805, -5.113, -0.707], [7.869, -6.584, -5.854], [-0.825, -0.851, 11.765]],
  "species": ["Ba", "Ba", "Ba", "Ba", "Ba", "Ba", "Ba", "Ba", "Ba", "Ca", "Ca", "Ca", "La", "La", "La", "La", "Fe", "Fe", "Fe", "Fe", "Fe", "Fe", "Fe", "Fe", "O", "O", "O", "O", "O", "O", "O", "O", "O", "O", "O", "O", "O", "O", "O", "O", "O", "O", "O", "O", "O", "O", "O", "O", "O", "O", "O", "O", "O", "O"],
  "fractional_positions": [[0.684, 0.348, 0.179], [0.678, 0.831, 0.176], [0.681, 0.824, 0.652], [0.168, 0.662, 0.828], [0.174, 0.165, 0.825], [0.171, 0.168, 0.340], [0.995, 0.668, 0.339], [0.494, 0.329, 0.661], [0.500, 0.000, 0.000], [0.996, 0.000, 0.000], [0.351, 0.961, 0.480], [0.852, 0.480, 0.520], [0.344, 0.520, 0.480], [0.345, 0.522, 0.043], [0.845, 0.043, 0.521], [0.845, 0.478, 0.956], [0.535, 0.670, 0.336], [0.037, 0.334, 0.664], [0.167, 0.353, 0.178], [0.170, 0.824, 0.180], [0.169, 0.823, 0.644], [0.678, 0.647, 0.822], [0.675, 0.174, 0.824], [0.678, 0.177, 0.353], [0.349, 0.495, 0.246], [0.350, 0.751, 0.248], [0.349, 0.751, 0.502], [0.849, 0.502, 0.751], [0.848, 0.249, 0.753], [0.849, 0.251, 0.500], [0.538, 0.610, 0.938], [0.536, 0.062, 0.672], [0.531, 0.325, 0.387], [0.537, 0.328, 0.938], [0.530, 0.613, 0.675], [0.538, 0.062, 0.390], [0.035, 0.396, 0.064], [0.028, 0.936, 0.329], [0.036, 0.669, 0.604], [0.036, 0.669, 0.065], [0.034, 0.396, 0.332], [0.028, 0.936, 0.607], [0.792, 0.814, 0.907], [0.791, 0.093, 0.908], [0.791, 0.094, 0.186], [0.240, 0.179, 0.089], [0.241, 0.910, 0.090], [0.240, 0.910, 0.820], [0.685, 0.832, 0.415], [0.676, 0.584, 0.416], [0.677, 0.584, 0.166], [0.177, 0.167, 0.584], [0.186, 0.417, 0.585], [0.177, 0.418, 0.834]],
  "total_energy_ev_per_atom": -6.8324,
  "energy_mp2020_ev_per_cell": -407.61,
  "formation_energy_mev_per_atom": -2748
}

Entry 6:
{
  "formula": "Li9Nb10Cr6P24O96",
  "functional": "PBE with a Hubbard U",
  "state": "relaxed",
  "cell": [[-0.735, -8.512, -1.943], [8.515, -1.207, 2.062], [-6.277, -4.740, 23.230]],
  "species": ["Li", "Li", "Li", "Li", "Li", "Li", "Li", "Li", "Li", "Nb", "Nb", "Nb", "Nb", "Nb", "Nb", "Nb", "Nb", "Nb", "Nb", "Cr", "Cr", "Cr", "Cr", "Cr", "Cr", "P", "P", "P", "P", "P", "P", "P", "P", "P", "P", "P", "P", "P", "P", "P", "P", "P", "P", "P", "P", "P", "P", "P", "P", "O", "O", "O", "O", "O", "O", "O", "O", "O", "O", "O", "O", "O", "O", "O", "O", "O", "O", "O", "O", "O", "O", "O", "O", "O", "O", "O", "O", "O", "O", "O", "O", "O", "O", "O", "O", "O", "O", "O", "O", "O", "O", "O", "O", "O", "O", "O", "O", "O", "O", "O", "O", "O", "O", "O", "O", "O", "O", "O", "O", "O", "O", "O", "O", "O", "O", "O", "O", "O", "O", "O", "O", "O", "O", "O", "O", "O", "O", "O", "O", "O", "O", "O", "O", "O", "O", "O", "O", "O", "O", "O", "O", "O", "O", "O", "O"],
  "fractional_positions": [[0.999, 0.974, 0.994], [0.999, 0.526, 0.494], [0.468, 0.967, 0.714], [0.499, 0.504, 0.998], [0.500, 0.996, 0.498], [0.535, 0.035, 0.287], [0.534, 0.467, 0.787], [0.965, 0.534, 0.288], [0.963, 0.962, 0.787], [0.005, 0.210, 0.320], [0.005, 0.289, 0.820], [0.496, 0.785, 0.823], [0.495, 0.711, 0.321], [0.501, 0.223, 0.179], [0.501, 0.286, 0.678], [0.002, 0.726, 0.180], [0.001, 0.774, 0.679], [0.000, 0.212, 0.566], [0.001, 0.288, 0.066], [0.999, 0.787, 0.432], [0.999, 0.714, 0.932], [0.500, 0.287, 0.433], [0.500, 0.212, 0.933], [0.500, 0.714, 0.565], [0.500, 0.785, 0.066], [0.139, 0.354, 0.199], [0.140, 0.142, 0.700], [0.157, 0.643, 0.050], [0.158, 0.857, 0.550], [0.209, 0.501, 0.381], [0.208, 0.998, 0.881], [0.292, 0.003, 0.381], [0.290, 0.497, 0.882], [0.353, 0.130, 0.050], [0.351, 0.369, 0.550], [0.365, 0.651, 0.697], [0.366, 0.854, 0.197], [0.641, 0.149, 0.802], [0.642, 0.354, 0.303], [0.654, 0.632, 0.450], [0.656, 0.867, 0.951], [0.709, 0.510, 0.121], [0.708, 0.990, 0.621], [0.783, 0.000, 0.120], [0.785, 0.499, 0.620], [0.841, 0.130, 0.447], [0.842, 0.371, 0.947], [0.858, 0.645, 0.804], [0.857, 0.853, 0.303], [0.072, 0.744, 0.010], [0.071, 0.757, 0.510], [0.077, 0.243, 0.242], [0.080, 0.254, 0.743], [0.083, 0.305, 0.143], [0.085, 0.196, 0.644], [0.087, 0.517, 0.213], [0.079, 0.982, 0.714], [0.104, 0.693, 0.108], [0.106, 0.808, 0.608], [0.101, 0.421, 0.339], [0.096, 0.085, 0.840], [0.110, 0.589, 0.421], [0.106, 0.914, 0.921], [0.109, 0.474, 0.044], [0.109, 0.027, 0.544], [0.176, 0.152, 0.047], [0.174, 0.349, 0.545], [0.188, 0.847, 0.201], [0.188, 0.657, 0.702], [0.187, 0.607, 0.911], [0.187, 0.894, 0.410], [0.202, 0.112, 0.342], [0.193, 0.386, 0.845], [0.306, 0.613, 0.344], [0.297, 0.889, 0.842], [0.311, 0.107, 0.911], [0.312, 0.392, 0.411], [0.316, 0.344, 0.201], [0.317, 0.138, 0.702], [0.331, 0.644, 0.045], [0.331, 0.857, 0.544], [0.382, 0.536, 0.543], [0.382, 0.963, 0.043], [0.392, 0.087, 0.422], [0.389, 0.409, 0.922], [0.398, 0.577, 0.839], [0.403, 0.916, 0.341], [0.402, 0.183, 0.109], [0.398, 0.313, 0.609], [0.418, 0.020, 0.211], [0.418, 0.490, 0.714], [0.424, 0.705, 0.643], [0.424, 0.800, 0.143], [0.426, 0.753, 0.244], [0.425, 0.764, 0.742], [0.431, 0.239, 0.010], [0.430, 0.261, 0.510], [0.571, 0.741, 0.489], [0.572, 0.758, 0.990], [0.579, 0.245, 0.258], [0.582, 0.264, 0.758], [0.585, 0.204, 0.857], [0.583, 0.291, 0.356], [0.586, 0.518, 0.291], [0.585, 0.988, 0.786], [0.597, 0.683, 0.390], [0.601, 0.813, 0.891], [0.605, 0.411, 0.159], [0.600, 0.077, 0.661], [0.610, 0.589, 0.079], [0.613, 0.910, 0.578], [0.615, 0.466, 0.456], [0.615, 0.033, 0.957], [0.669, 0.146, 0.454], [0.670, 0.354, 0.954], [0.681, 0.639, 0.799], [0.679, 0.851, 0.299], [0.684, 0.602, 0.586], [0.685, 0.898, 0.086], [0.687, 0.110, 0.156], [0.697, 0.388, 0.657], [0.806, 0.613, 0.158], [0.806, 0.884, 0.657], [0.813, 0.104, 0.591], [0.817, 0.400, 0.090], [0.819, 0.147, 0.798], [0.818, 0.358, 0.298], [0.829, 0.647, 0.454], [0.830, 0.853, 0.955], [0.886, 0.966, 0.456], [0.886, 0.535, 0.956], [0.887, 0.093, 0.082], [0.891, 0.411, 0.581], [0.894, 0.587, 0.659], [0.890, 0.915, 0.160], [0.900, 0.189, 0.390], [0.901, 0.315, 0.890], [0.905, 0.017, 0.290], [0.914, 0.482, 0.792], [0.914, 0.707, 0.857], [0.914, 0.793, 0.357], [0.917, 0.739, 0.259], [0.918, 0.756, 0.759], [0.924, 0.235, 0.489], [0.926, 0.264, 0.989]],
  "total_energy_ev_per_atom": -7.6016,
  "energy_mp2020_ev_per_cell": -1180.17,
  "formation_energy_mev_per_atom": -2753
}

Entry 7:
{
  "formula": "MgCoHO2",
  "functional": "PBE with a Hubbard U",
  "state": "relaxed",
  "cell": [[3.352, 0.060, 4.877], [1.559, 2.960, 4.875], [0.104, 0.063, 5.911]],
  "species": ["Mg", "Co", "H", "O", "O"],
  "fractional_positions": [[0.246, 0.247, 0.247], [0.039, 0.047, 0.047], [0.481, 0.480, 0.480], [0.362, 0.367, 0.367], [0.540, 0.540, 0.540]],
  "total_energy_ev_per_atom": -5.2629,
  "energy_mp2020_ev_per_cell": -29.33,
  "formation_energy_mev_per_atom": -1466
}

Entry 8:
{
  "formula": "Na2FeSnP3O12",
  "functional": "PBE with a Hubbard U",
  "state": "relaxed",
  "cell": [[0.764, -5.482, -6.861], [6.499, -5.953, -0.192], [-1.935, -8.681, 1.052]],
  "species": ["Na", "Na", "Na", "Na", "Fe", "Fe", "Sn", "Sn", "P", "P", "P", "P", "P", "P", "O", "O", "O", "O", "O", "O", "O", "O", "O", "O", "O", "O", "O", "O", "O", "O", "O", "O", "O", "O", "O", "O", "O", "O"],
  "fractional_positions": [[0.383, 0.248, 0.501], [0.752, 0.617, 0.499], [0.482, 0.996, 0.256], [0.004, 0.518, 0.744], [0.344, 0.849, 0.701], [0.151, 0.656, 0.299], [0.858, 0.353, 0.182], [0.647, 0.142, 0.818], [0.542, 0.458, 0.000], [0.956, 0.748, 0.007], [0.252, 0.044, 0.993], [0.047, 0.248, 0.499], [0.752, 0.953, 0.501], [0.455, 0.545, 0.500], [0.512, 0.617, 0.825], [0.118, 0.793, 0.838], [0.301, 0.020, 0.814], [0.020, 0.279, 0.327], [0.771, 0.129, 0.332], [0.630, 0.518, 0.331], [0.482, 0.370, 0.669], [0.871, 0.229, 0.668], [0.721, 0.980, 0.673], [0.980, 0.699, 0.186], [0.207, 0.882, 0.162], [0.383, 0.488, 0.175], [0.436, 0.720, 0.517], [0.226, 0.081, 0.515], [0.582, 0.931, 0.513], [0.937, 0.583, 0.003], [0.084, 0.229, 0.997], [0.728, 0.439, 0.001], [0.561, 0.272, 0.999], [0.771, 0.916, 0.003], [0.417, 0.063, 0.997], [0.069, 0.418, 0.487], [0.919, 0.774, 0.485], [0.280, 0.564, 0.483]],
  "total_energy_ev_per_atom": -6.7121,
  "energy_mp2020_ev_per_cell": -276.06,
  "formation_energy_mev_per_atom": -2489
}